This record from the Materials Project describes a relaxed CuBr crystal. The functional is r2SCAN.

Calculated values
Formation energy from the elements: -0.328 eV/atom
ρ: 5.306 Mg/m³
Total magnetization: 0.0 μB per formula unit

a = 3.8540 Å, b = 3.8540 Å, c = 6.0448 Å
α = 90.00°, β = 90.00°, γ = 90.00°
Last column: nearest neighbours and their distance in Å.
Space group P4/nmm (No. 129, origin choice 2)
Symmetry-distinct sites (fractional):
Cu 0.2500 0.7500 0.0000 (multiplicity 2)  4 Br 2.50, 4 Cu 2.73
Br 0.2500 0.2500 0.2642 (multiplicity 2)  4 Cu 2.50

This record from the Materials Project describes a relaxed GaCuBr4 crystal. The functional is r2SCAN.

Calculated values
Formation energy from the elements: -0.781 eV/atom
ρ: 4.229 Mg/m³
Total magnetization: 0.0 μB per formula unit

a = 5.7848 Å, b = 5.7848 Å, c = 10.6288 Å
α = 90.00°, β = 90.00°, γ = 90.00°
Last column: nearest neighbours and their distance in Å.
Space group P-42c (No. 112)
Symmetry-distinct sites (fractional):
Ga 0.0000 0.5000 0.2500 (multiplicity 2)  4 Br 2.36
Cu 0.0000 0.0000 0.0000 (multiplicity 2)  4 Br 2.45
Br 0.2387 0.2646 0.1240 (multiplicity 8)  1 Ga 2.36, 1 Cu 2.45

This record from the Materials Project describes a relaxed K2CuBr3 crystal. The functional is r2SCAN.

Calculated values
Formation energy from the elements: -1.443 eV/atom
ρ: 3.522 Mg/m³
Total magnetization: 0.0 μB per formula unit

a = 12.6202 Å, b = 4.3111 Å, c = 13.2214 Å
α = 90.00°, β = 90.00°, γ = 90.00°
Last column: nearest neighbours and their distance in Å.
Space group Pnma (No. 62)
Symmetry-distinct sites (fractional):
K 0.0122 0.2500 0.1778 (multiplicity 4)  7 Br 3.27-3.42
K 0.1766 0.2500 0.5160 (multiplicity 4)  7 Br 3.31-3.40, 2 Cu 3.65
Cu 0.2455 0.7500 0.3028 (multiplicity 4)  4 Br 2.44-2.51
Br 0.0602 0.7500 0.3616 (multiplicity 4)  1 Cu 2.46
Br 0.1326 0.2500 0.9463 (multiplicity 4)  1 Cu 2.44
Br 0.2248 0.7500 0.7095 (multiplicity 4)  2 Cu 2.51

This record from the Materials Project describes a relaxed CuBrO2 crystal. The functional is r2SCAN.

Calculated values
Formation energy from the elements: -0.246 eV/atom
ρ: 5.275 Mg/m³
Total magnetization: 0.2 μB per formula unit

a = 6.4696 Å, b = 2.9011 Å, c = 5.9017 Å
α = 90.00°, β = 94.25°, γ = 90.00°
Last column: nearest neighbours and their distance in Å.
Space group C2/m (No. 12)
Symmetry-distinct sites (fractional):
Cu 0.0000 0.0000 0.0000 (multiplicity 2)  4 O 1.90
Br 0.0000 0.5000 0.5000 (multiplicity 2)  2 O 2.00
O 0.0979 0.5000 0.8297 (multiplicity 4)  2 Cu 1.90, 1 Br 2.00

This record from the Materials Project describes a relaxed Sr2CuBrO2 crystal. The functional is r2SCAN.

Calculated values
Formation energy from the elements: -2.278 eV/atom
ρ: 4.346 Mg/m³
Total magnetization: 0.0 μB per formula unit

a = 4.0476 Å, b = 4.0476 Å, c = 28.3301 Å
α = 90.00°, β = 90.00°, γ = 120.00°
Last column: nearest neighbours and their distance in Å.
Space group R-3m (No. 166, hexagonal axes)
Symmetry-distinct sites (fractional):
Sr 0.0000 0.0000 0.2472 (multiplicity 6)  3 O 2.42
Cu 0.0000 0.0000 0.0000 (multiplicity 3)  2 O 1.80
Br 0.0000 0.0000 0.5000 (multiplicity 3)  6 Sr 3.27
O 0.0000 0.0000 0.0635 (multiplicity 6)  1 Cu 1.80

This record from the Materials Project describes a relaxed RbCu2Br3 crystal. The functional is r2SCAN.

Calculated values
Formation energy from the elements: -0.913 eV/atom
ρ: 4.432 Mg/m³
Total magnetization: 0.0 μB per formula unit

a = 10.1477 Å, b = 12.8400 Å, c = 5.2015 Å
α = 90.00°, β = 90.00°, γ = 90.00°
Last column: nearest neighbours and their distance in Å.
Space group Cmcm (No. 63)
Symmetry-distinct sites (fractional):
Rb 0.0000 0.2002 0.2500 (multiplicity 4)  8 Br 3.49-3.67
Cu 0.1719 0.5000 0.0000 (multiplicity 8)  4 Br 2.42-2.58, 2 Cu 2.60
Br 0.0000 0.3921 0.7500 (multiplicity 4)  4 Cu 2.58
Br 0.2108 0.1287 0.7500 (multiplicity 8)  2 Cu 2.42

- Which value of total magnetization does entry 3 give?
  0.0 μB per formula unit